[1]
# Y2MgV2O7

A geometry-optimized Y2MgV2O7 structure (GGA+U, Materials Project).

a = 5.925 Å, b = 5.925 Å, c = 5.508 Å
α = 85.71°, β = 94.29°, γ = 68.83°
Fractional positions:
O: 0.438 0.562 0.227
O: 0.655 0.049 0.332
O: 0.564 0.436 0.775
O: 0.342 0.942 0.641
O: 0.058 0.658 0.641
O: 0.951 0.345 0.332
O: 0.021 0.979 0.047
Mg: 0.051 0.949 0.415
V: 0.729 0.271 0.097
V: 0.260 0.740 0.906
Y: 0.327 0.314 0.500
Y: 0.686 0.673 0.500

Output
The value obtained for the calculated formation energy is -3.06 eV/atom. As for the crystal system: monoclinic. Its energy is -7.991 eV/atom. Its symmetry is Cm (8).

[2]
# MgV2Zn4O8

A geometry-optimized MgV2Zn4O8 structure (GGA+U, Materials Project).

a = 6.026 Å, b = 6.026 Å, c = 6.294 Å
α = 61.53°, β = 61.53°, γ = 59.11°
Fractional positions:
O: 0.375 0.862 0.872
O: 0.875 0.388 0.378
O: 0.388 0.875 0.378
O: 0.851 0.851 0.446
O: 0.388 0.388 0.359
O: 0.399 0.399 0.804
O: 0.862 0.375 0.872
O: 0.862 0.862 0.891
Zn: 0.625 0.125 0.625
Zn: 0.961 0.961 0.092
Zn: 0.125 0.625 0.625
Zn: 0.289 0.289 0.158
V: 0.625 0.625 0.125
V: 0.625 0.625 0.625
Mg: 0.125 0.125 0.625

Output
The value obtained for the calculated formation energy is -2.04 eV/atom. As for the crystal system: monoclinic. Its energy is -5.738 eV/atom. Its symmetry is C2/m (12).

[3]
# MgV4ZnO10

A geometry-optimized MgV4ZnO10 structure (GGA+U, Materials Project).

a = 3.511 Å, b = 5.462 Å, c = 11.805 Å
α = 90.00°, β = 90.00°, γ = 108.62°
Fractional positions:
Zn: 0.910 0.820 0.750
V: 0.209 0.417 0.600
V: 0.209 0.417 0.900
V: 0.783 0.566 0.102
V: 0.783 0.566 0.398
O: 0.307 0.615 0.750
O: 0.219 0.438 0.432
O: 0.694 0.390 0.250
O: 0.219 0.438 0.068
O: 0.941 0.885 0.356
O: 0.052 0.102 0.633
O: 0.052 0.102 0.867
O: 0.779 0.559 0.930
O: 0.941 0.885 0.144
O: 0.779 0.559 0.570
Mg: 0.503 0.010 0.250

Output
The value obtained for the calculated formation energy is -2.38 eV/atom. As for the crystal system: monoclinic. Its energy is -7.064 eV/atom. Its symmetry is Pm (6).

[4]
# MgV4ZnO10

A geometry-optimized MgV4ZnO10 structure (GGA+U, Materials Project).

a = 3.521 Å, b = 5.338 Å, c = 11.775 Å
α = 90.01°, β = 89.98°, γ = 105.36°
Fractional positions:
Mg: 0.596 0.972 0.250
O: 0.230 0.441 0.930
O: 0.104 0.107 0.357
O: 0.102 0.107 0.142
O: 0.933 0.900 0.632
O: 0.777 0.558 0.069
O: 0.697 0.386 0.750
O: 0.230 0.441 0.570
O: 0.933 0.900 0.868
O: 0.778 0.557 0.431
O: 0.313 0.603 0.250
Zn: 0.116 0.179 0.750
V: 0.788 0.583 0.900
V: 0.225 0.427 0.102
V: 0.226 0.427 0.398
V: 0.789 0.583 0.600

Output
The value obtained for the calculated formation energy is -2.38 eV/atom. As for the crystal system: monoclinic. Its energy is -7.064 eV/atom. Its symmetry is Pm (6).

[5]
# MgV3Zn2O8

A geometry-optimized MgV3Zn2O8 structure (GGA+U, Materials Project).

a = 6.021 Å, b = 5.991 Å, c = 6.024 Å
α = 60.58°, β = 89.18°, γ = 119.59°
Fractional positions:
O: 0.400 0.278 0.860
O: 0.396 0.234 0.387
O: 0.850 0.222 0.390
O: 0.854 0.266 0.863
O: 0.850 0.725 0.867
O: 0.396 0.762 0.843
O: 0.854 0.738 0.407
O: 0.400 0.775 0.383
Mg: 0.125 0.750 0.625
V: 0.625 0.750 0.625
V: 0.625 0.250 0.625
V: 0.625 0.250 0.125
Zn: 0.261 0.500 0.252
Zn: 0.989 0.000 0.998

Output
The value obtained for the calculated formation energy is -2.39 eV/atom. As for the crystal system: triclinic. Its energy is -6.697 eV/atom. Its symmetry is P-1 (2).

[6]
# MgV2Zn4O8

A geometry-optimized MgV2Zn4O8 structure (GGA+U, Materials Project).

a = 6.345 Å, b = 6.003 Å, c = 6.014 Å
α = 59.94°, β = 61.71°, γ = 61.24°
Fractional positions:
O: 0.398 0.873 0.365
O: 0.852 0.377 0.885
O: 0.861 0.866 0.890
O: 0.861 0.866 0.383
O: 0.816 0.400 0.392
O: 0.389 0.384 0.867
O: 0.389 0.384 0.360
O: 0.434 0.850 0.858
Mg: 0.625 0.125 0.125
Zn: 0.169 0.296 0.268
Zn: 0.081 0.954 0.982
Zn: 0.125 0.625 0.625
Zn: 0.625 0.125 0.625
V: 0.625 0.625 0.625
V: 0.625 0.625 0.125

Output
The value obtained for the calculated formation energy is -2.05 eV/atom. As for the crystal system: monoclinic. Its energy is -5.747 eV/atom. Its symmetry is C2/m (12).